Record 1
Here is a relaxed Ba3GeO5 crystal from the Materials Project. Energies are from PBE.

Cell lengths 7.4865, 7.4865, 11.8121 Å; angles 90.00, 90.00, 90.00 degrees
Positions (direct):
Ba: 0.0000 0.5000 0.9971
Ba: 0.0000 0.5000 0.4971
Ba: 0.1867 0.8133 0.7500
Ba: 0.1867 0.1867 0.2500
Ba: 0.3133 0.3133 0.7500
Ba: 0.3133 0.6867 0.2500
Ba: 0.5000 0.0000 0.0029
Ba: 0.5000 0.0000 0.5029
Ba: 0.6867 0.3133 0.2500
Ba: 0.6867 0.6867 0.7500
Ba: 0.8133 0.8133 0.2500
Ba: 0.8133 0.1867 0.7500
Ge: 0.0000 0.0000 0.0000
Ge: 0.0000 0.0000 0.5000
Ge: 0.5000 0.5000 0.0000
Ge: 0.5000 0.5000 0.5000
O: 0.0000 0.5000 0.2197
O: 0.0000 0.5000 0.7197
O: 0.1035 0.8430 0.4071
O: 0.1035 0.1570 0.9071
O: 0.1570 0.1035 0.5929
O: 0.1570 0.8965 0.0929
O: 0.3430 0.6035 0.9071
O: 0.3430 0.3965 0.4071
O: 0.3965 0.3430 0.0929
O: 0.3965 0.6570 0.5929
O: 0.5000 0.0000 0.2803
O: 0.5000 0.0000 0.7803
O: 0.6035 0.3430 0.5929
O: 0.6035 0.6570 0.0929
O: 0.6570 0.6035 0.4071
O: 0.6570 0.3965 0.9071
O: 0.8430 0.8965 0.5929
O: 0.8430 0.1035 0.0929
O: 0.8965 0.1570 0.4071
O: 0.8965 0.8430 0.9071

The calculated density is 5.66 g/cm³. As for the crystal system: tetragonal. As for the symmetry: P4/ncc (130). The formation energy comes out at -2.854 eV/atom.



Record 2
Here is a relaxed Na3Sc3NbP5SO24 crystal from the Materials Project. Energies are from PBE.

Cell lengths 8.8829, 8.8660, 22.9838 Å; angles 89.96, 90.09, 120.09 degrees
Positions (direct):
Na: 0.6414 0.6373 0.7485
Na: 0.3011 0.9656 0.0846
Na: 0.3307 0.0268 0.4144
Na: 0.9889 0.9997 0.5008
Na: 0.9926 0.0003 0.9986
Na: 0.6663 0.3256 0.8315
Na: 0.6681 0.3352 0.3295
Na: 0.3331 0.6628 0.1671
Na: 0.3256 0.6627 0.6627
Sc: 0.0011 0.0026 0.3520
Sc: 0.0016 0.0017 0.8525
Sc: 0.9956 0.0012 0.6480
Sc: 0.0000 0.9983 0.1466
Sc: 0.6725 0.3336 0.6859
Sc: 0.6607 0.3286 0.1851
Sc: 0.3344 0.6613 0.0189
Sc: 0.3349 0.6596 0.5183
Sc: 0.3336 0.6722 0.3156
Nb: 0.6686 0.3351 0.9797
Nb: 0.6799 0.3446 0.4802
Nb: 0.3282 0.6662 0.8143
P: 0.2931 0.9994 0.2500
P: 0.2905 0.2888 0.7504
P: 0.0012 0.7119 0.7501
P: 0.7095 0.0024 0.7512
P: 0.9607 0.3342 0.5843
P: 0.6668 0.6262 0.5852
P: 0.9566 0.6221 0.0844
P: 0.6688 0.0436 0.0835
P: 0.3780 0.3362 0.0838
P: 0.6244 0.6682 0.9171
P: 0.0428 0.3750 0.9179
P: 0.3322 0.9568 0.9186
P: 0.6263 0.9568 0.4180
P: 0.3335 0.3760 0.4166
P: 0.0462 0.6690 0.4168
S: 0.7073 0.7077 0.2500
S: 0.0006 0.2931 0.2497
S: 0.3757 0.0423 0.5827
O: 0.2074 0.0241 0.3055
O: 0.8141 0.7905 0.3026
O: 0.9736 0.1853 0.3024
O: 0.2090 0.1818 0.8049
O: 0.9685 0.7910 0.8043
O: 0.8176 0.0259 0.8054
O: 0.7809 0.9565 0.6968
O: 0.1795 0.2144 0.6955
O: 0.0364 0.8221 0.6951
O: 0.7886 0.8155 0.1975
O: 0.0236 0.2093 0.1973
O: 0.1822 0.9751 0.1945
O: 0.8703 0.3580 0.6369
O: 0.4834 0.1251 0.6346
O: 0.6394 0.5151 0.6396
O: 0.8705 0.5097 0.1375
O: 0.6345 0.1272 0.1363
O: 0.4895 0.3611 0.1373
O: 0.4716 0.3071 0.0290
O: 0.8382 0.5276 0.0289
O: 0.6909 0.1629 0.0283
O: 0.4606 0.1503 0.5288
O: 0.6862 0.5238 0.5305
O: 0.8396 0.3124 0.5291
O: 0.5378 0.6916 0.9703
O: 0.1526 0.4614 0.9711
O: 0.3093 0.8513 0.9734
O: 0.5407 0.8488 0.4722
O: 0.3053 0.4562 0.4712
O: 0.1569 0.7003 0.4712
O: 0.1184 0.6301 0.3622
O: 0.5088 0.8843 0.3637
O: 0.3692 0.4873 0.3623
O: 0.1327 0.4948 0.8628
O: 0.3608 0.8650 0.8639
O: 0.5084 0.6370 0.8610
O: 0.0220 0.8289 0.4100
O: 0.8092 0.9846 0.4099
O: 0.1785 0.1871 0.4106
O: 0.0188 0.1945 0.9095
O: 0.1756 0.9802 0.9094
O: 0.8060 0.8245 0.9093
O: 0.9717 0.1671 0.5863
O: 0.2037 0.0290 0.5870
O: 0.8353 0.8033 0.5864
O: 0.9756 0.8058 0.0869
O: 0.8325 0.0290 0.0876
O: 0.2005 0.1643 0.0868
O: 0.6803 0.1571 0.7439
O: 0.4794 0.3255 0.7442
O: 0.8385 0.5280 0.7442
O: 0.6921 0.5337 0.2447
O: 0.8440 0.3117 0.2445
O: 0.4755 0.1645 0.2450
O: 0.6375 0.4977 0.9242
O: 0.8603 0.3628 0.9235
O: 0.5028 0.1403 0.9236
O: 0.6387 0.1423 0.4273
O: 0.4971 0.3489 0.4269
O: 0.8580 0.5028 0.4254
O: 0.3579 0.4956 0.0766
O: 0.1401 0.6485 0.0762
O: 0.5011 0.8668 0.0754
O: 0.3591 0.8689 0.5764
O: 0.5047 0.6425 0.5766
O: 0.1372 0.4990 0.5761
O: 0.3101 0.8341 0.2556
O: 0.5323 0.6890 0.2556
O: 0.1593 0.4667 0.2555
O: 0.3150 0.4803 0.7598
O: 0.1655 0.6892 0.7598
O: 0.5234 0.8299 0.7603

The calculated density is 2.76 g/cm³. As for the crystal system: triclinic. As for the symmetry: P1 (1). The formation energy comes out at -2.962 eV/atom.



Record 3
Here is a relaxed HfGaCu crystal from the Materials Project. Energies are from PBE.

Cell lengths 4.2268, 4.2268, 6.3115 Å; angles 90.00, 90.00, 120.00 degrees
Positions (direct):
Hf: 0.0000 0.0000 0.5000
Hf: 0.0000 0.0000 0.0000
Ga: 0.3333 0.6667 0.7500
Ga: 0.6667 0.3333 0.2500
Cu: 0.3333 0.6667 0.2500
Cu: 0.6667 0.3333 0.7500

The calculated density is 10.60 g/cm³. As for the crystal system: hexagonal. As for the symmetry: P6_3/mmc (194). The formation energy comes out at -0.383 eV/atom.



Record 4
Here is a relaxed ScSnPt crystal from the Materials Project. Energies are from PBE.

Cell lengths 7.4533, 7.4533, 7.4304 Å; angles 90.00, 90.00, 120.00 degrees
Positions (direct):
Sc: 0.4046 0.0180 0.2500
Sc: 0.6134 0.5954 0.2500
Sc: 0.9820 0.3866 0.2500
Sc: 0.3866 0.9820 0.7500
Sc: 0.5954 0.6134 0.7500
Sc: 0.0180 0.4046 0.7500
Sn: 0.2726 0.2726 0.0000
Sn: 0.0000 0.7274 0.0000
Sn: 0.0000 0.7274 0.5000
Sn: 0.7274 0.0000 0.5000
Sn: 0.2726 0.2726 0.5000
Sn: 0.7274 0.0000 0.0000
Pt: 0.0000 0.0000 0.7500
Pt: 0.0000 0.0000 0.2500
Pt: 0.6667 0.3333 0.9634
Pt: 0.3333 0.6667 0.4634
Pt: 0.3333 0.6667 0.0366
Pt: 0.6667 0.3333 0.5366

The calculated density is 10.00 g/cm³. As for the crystal system: hexagonal. As for the symmetry: P-62c (190). The formation energy comes out at -1.002 eV/atom.



Record 5
Here is a relaxed LaZn3Ni2 crystal from the Materials Project. Energies are from PBE.

Cell lengths 5.2575, 5.2575, 4.1132 Å; angles 90.00, 90.00, 120.00 degrees
Positions (direct):
La: 0.0000 0.0000 0.0000
Zn: 0.5000 0.5000 0.5000
Zn: 0.5000 0.0000 0.5000
Zn: 0.0000 0.5000 0.5000
Ni: 0.6667 0.3333 0.0000
Ni: 0.3333 0.6667 0.0000

The calculated density is 7.63 g/cm³. As for the crystal system: hexagonal. As for the symmetry: P6/mmm (191). The formation energy comes out at -0.368 eV/atom.



Record 6
Here is a relaxed U4Tc7Ge6 crystal from the Materials Project. Energies are from PBE.

Cell lengths 7.2259, 7.2259, 7.2259 Å; angles 109.47, 109.47, 109.47 degrees
Positions (direct):
U: 0.5000 0.5000 0.5000
U: 0.0000 0.0000 0.5000
U: 0.5000 0.0000 0.0000
U: 0.0000 0.5000 0.0000
Tc: 0.7500 0.2500 0.5000
Tc: 0.5000 0.2500 0.7500
Tc: 0.5000 0.7500 0.2500
Tc: 0.2500 0.5000 0.7500
Tc: 0.7500 0.5000 0.2500
Tc: 0.2500 0.7500 0.5000
Tc: 0.0000 0.0000 0.0000
Ge: 0.3075 0.3075 0.0000
Ge: 0.0000 0.3075 0.3075
Ge: 0.0000 0.6925 0.6925
Ge: 0.6925 0.0000 0.6925
Ge: 0.3075 0.0000 0.3075
Ge: 0.6925 0.6925 0.0000

The calculated density is 11.86 g/cm³. As for the crystal system: cubic. As for the symmetry: Im-3m (229). The formation energy comes out at -0.446 eV/atom.



Record 7
Here is a relaxed CsHPt2S4O16 crystal from the Materials Project. Energies are from PBE.

Cell lengths 9.0661, 9.5860, 17.5815 Å; angles 79.94, 90.00, 90.00 degrees
Positions (direct):
Cs: 0.1100 0.4964 0.2651
Cs: 0.6100 0.0036 0.7349
Cs: 0.8900 0.5036 0.7349
Cs: 0.3900 0.9964 0.2651
H: 0.9364 0.9661 0.2458
H: 0.4364 0.5339 0.7542
H: 0.0636 0.0339 0.7542
H: 0.5636 0.4661 0.2458
Pt: 0.1233 0.0606 0.4942
Pt: 0.6233 0.4394 0.5058
Pt: 0.8767 0.9394 0.5058
Pt: 0.3767 0.5606 0.4942
Pt: 0.0649 0.1115 0.0097
Pt: 0.5649 0.3885 0.9903
Pt: 0.9351 0.8885 0.9903
Pt: 0.4351 0.6115 0.0097
S: 0.3884 0.2788 0.4256
S: 0.8884 0.2212 0.5744
S: 0.6116 0.7212 0.5744
S: 0.1116 0.7788 0.4256
S: 0.9191 0.1436 0.3511
S: 0.4191 0.3564 0.6489
S: 0.0809 0.8564 0.6489
S: 0.5809 0.6436 0.3511
S: 0.2752 0.3314 0.0852
S: 0.7752 0.1686 0.9148
S: 0.7248 0.6686 0.9148
S: 0.2248 0.8314 0.0852
S: 0.8264 0.0047 0.1350
S: 0.3264 0.4953 0.8650
S: 0.1736 0.9953 0.8650
S: 0.6736 0.5047 0.1350
O: 0.3035 0.4172 0.4291
O: 0.8035 0.0828 0.5709
O: 0.6965 0.5828 0.5709
O: 0.1965 0.9172 0.4291
O: 0.5528 0.3003 0.4390
O: 0.0528 0.1997 0.5610
O: 0.4472 0.6997 0.5610
O: 0.9472 0.8003 0.4390
O: 0.3676 0.2469 0.3491
O: 0.8676 0.2531 0.6509
O: 0.6324 0.7531 0.6509
O: 0.1324 0.7469 0.3491
O: 0.3399 0.1643 0.4895
O: 0.8399 0.3357 0.5105
O: 0.6601 0.8357 0.5105
O: 0.1601 0.6643 0.4895
O: 0.9831 0.0420 0.3063
O: 0.4831 0.4580 0.6937
O: 0.0169 0.9580 0.6937
O: 0.5169 0.5420 0.3063
O: 0.0458 0.1944 0.3991
O: 0.5458 0.3056 0.6009
O: 0.9542 0.8056 0.6009
O: 0.4542 0.6944 0.3991
O: 0.8028 0.0709 0.4088
O: 0.3028 0.4291 0.5912
O: 0.1972 0.9291 0.5912
O: 0.6972 0.5709 0.4088
O: 0.8541 0.2680 0.3059
O: 0.3541 0.2320 0.6941
O: 0.1459 0.7320 0.6941
O: 0.6459 0.7680 0.3059
O: 0.1686 0.3150 0.0227
O: 0.6686 0.1850 0.9773
O: 0.8314 0.6850 0.9773
O: 0.3314 0.8150 0.0227
O: 0.2299 0.2655 0.1617
O: 0.7299 0.2345 0.8383
O: 0.7701 0.7345 0.8383
O: 0.2701 0.7655 0.1617
O: 0.2923 0.4916 0.0844
O: 0.7923 0.0084 0.9156
O: 0.7077 0.5084 0.9156
O: 0.2077 0.9916 0.0844
O: 0.4269 0.2713 0.0685
O: 0.9269 0.2287 0.9315
O: 0.5731 0.7287 0.9315
O: 0.0731 0.7713 0.0685
O: 0.6946 0.0559 0.1649
O: 0.1946 0.4441 0.8351
O: 0.3054 0.9441 0.8351
O: 0.8054 0.5559 0.1649
O: 0.9209 0.9147 0.1976
O: 0.4209 0.5853 0.8024
O: 0.0791 0.0853 0.8024
O: 0.5791 0.4147 0.1976
O: 0.7928 0.9063 0.0782
O: 0.2928 0.5937 0.9218
O: 0.2072 0.0937 0.9218
O: 0.7072 0.4063 0.0782
O: 0.9195 0.1308 0.0959
O: 0.4195 0.3692 0.9041
O: 0.0805 0.8692 0.9041
O: 0.5805 0.6308 0.0959

The calculated density is 4.01 g/cm³. As for the crystal system: monoclinic. As for the symmetry: P2_1/c (14). The formation energy comes out at -1.629 eV/atom.



Record 8
Here is a relaxed TmAgTe2 crystal from the Materials Project. Energies are from PBE.

Cell lengths 4.3419, 4.3419, 6.9984 Å; angles 90.00, 90.00, 120.00 degrees
Positions (direct):
Tm: 0.0000 0.0000 0.0000
Ag: 0.0000 0.0000 0.5000
Te: 0.6667 0.3333 0.7478
Te: 0.3333 0.6667 0.2522

The calculated density is 7.73 g/cm³. As for the crystal system: trigonal. As for the symmetry: P-3m1 (164). The formation energy comes out at -1.084 eV/atom.



Record 9
Here is a relaxed Ti4H5 crystal from the Materials Project. Energies are from PBE.

Cell lengths 4.2215, 4.2215, 4.6048 Å; angles 90.00, 90.00, 90.00 degrees
Positions (direct):
Ti: 0.7436 0.2564 0.2541
Ti: 0.2564 0.7436 0.2541
Ti: 0.2564 0.2564 0.7459
Ti: 0.7436 0.7436 0.7459
H: 0.5000 0.0000 0.0000
H: 0.5000 0.0000 0.5000
H: 0.0000 0.5000 0.0000
H: 0.0000 0.5000 0.5000
H: 0.0000 0.0000 0.0000

The calculated density is 3.98 g/cm³. As for the crystal system: tetragonal. As for the symmetry: P-42m (111). The formation energy comes out at -0.492 eV/atom.



Record 10
Here is a relaxed Ce2CoRu3 crystal from the Materials Project. Energies are from PBE.

Cell lengths 5.2691, 5.2691, 5.2691 Å; angles 60.24, 60.24, 60.24 degrees
Positions (direct):
Ce: 0.6249 0.6249 0.6249
Ce: 0.3751 0.3751 0.3751
Co: 0.0000 0.0000 0.0000
Ru: 0.0000 0.5000 0.0000
Ru: 0.5000 0.0000 0.0000
Ru: 0.0000 0.0000 0.5000

The calculated density is 10.26 g/cm³. As for the crystal system: trigonal. As for the symmetry: R-3m (166). The formation energy comes out at -0.279 eV/atom.